Version a
## MgCo4Ni2O12 (GGA+U)

Data for an optimized crystal structure of MgCo4Ni2O12.

Geometry as extended XYZ:
```
19
Lattice="4.8847 -0.0358 0.2112 2.4138 4.2360 0.3107 0.4172 0.4934 9.7962" Properties=species:S:1:pos:R:3 pbc="T T T"
Co 5.3002 3.1948 10.0900
O 2.3644 1.0567 4.0635
O 4.4796 1.9574 9.0141
O 4.7275 2.4100 4.2330
O 0.6685 0.9690 5.9244
O 3.0050 2.4215 6.0911
O 7.1512 3.9072 4.4084
Ni 6.3365 2.3949 5.2530
Co 3.8972 0.9876 5.2263
Co 3.8842 3.8292 5.2445
O 4.5519 4.6529 9.2139
Co 2.8867 1.8067 9.9163
Ni 2.8645 4.6252 10.0518
O 3.2939 2.5257 1.3178
O 5.4424 3.7088 6.2638
Mg 4.0172 1.1044 2.6642
O 2.0982 3.2424 9.0387
O 0.7374 1.2685 1.0604
O 5.6735 4.1096 1.4148
```

Results
Mass density (g/cm³): 4.67

Version b
## MgCo4Ni2O12 (GGA+U)

Data for an optimized crystal structure of MgCo4Ni2O12.

Geometry as extended XYZ:
```
19
Lattice="4.8988 0.0354 0.1863 2.4688 4.2921 0.3451 0.3800 0.5860 9.9066" Properties=species:S:1:pos:R:3 pbc="T T T"
Co 4.9555 2.9364 0.4138
O 4.5917 2.1578 9.1959
O 2.2597 3.8904 4.2853
O 5.4694 0.9884 6.1660
O 2.0222 3.4287 9.0929
Co 3.8748 3.8451 5.2617
O 2.2783 1.0681 4.0463
O 5.4671 3.6949 6.3449
Ni 0.0282 0.0450 0.0607
O 2.0612 0.7557 9.0235
O 4.6402 2.4522 4.2979
O 2.8559 2.2710 6.1971
O 3.2781 2.8458 1.2558
Ni 1.4015 2.3838 5.0191
O 5.7881 1.5875 1.3394
Co 3.8042 0.9679 5.1480
O 5.7107 4.3022 1.4327
Co 2.4831 1.5052 0.2383
Mg 1.3056 2.1513 7.6050
```

Results
Mass density (g/cm³): 4.58

Least stable: version b

Version a
## MgCo2O4 (GGA+U)

Data for an optimized crystal structure of MgCo2O4.

Geometry as extended XYZ:
```
14
Lattice="2.9659 4.9001 -1.6258 -3.6072 3.3507 3.3484 2.9345 -4.5997 2.3837" Properties=species:S:1:pos:R:3 pbc="T T T"
Co 1.1466 1.8255 2.0532
O 1.0000 3.7728 2.4226
O 1.2932 -0.1218 1.6838
Co 4.3492 1.2044 0.7728
O 0.9652 -0.7308 4.4788
O -0.1034 2.0844 0.4421
Co -2.0560 2.4466 3.3335
O 1.3280 4.3819 -0.3724
O -0.4368 1.4224 3.3003
Mg -0.3206 4.1254 0.8613
O 2.7301 2.2286 0.8060
Co 1.4830 2.4500 -0.8129
O 2.3966 1.5666 3.6643
Mg -0.3364 -0.6245 2.8661
```

Results
Mass density (g/cm³): 4.61

Version b
## MgCo2O4 (GGA+U)

Data for an optimized crystal structure of MgCo2O4.

Geometry as extended XYZ:
```
28
Lattice="2.8296 0.0000 0.0000 0.0000 8.6934 0.0000 0.0000 0.0000 10.0141" Properties=species:S:1:pos:R:3 pbc="T T T"
O 0.7074 4.8269 7.1684
O 0.7074 0.4802 7.8528
O 0.7074 5.3631 4.6213
O 2.1222 0.7988 5.7133
Co 2.1222 4.7896 1.1764
O 0.7074 7.8946 4.3009
Mg 0.7074 6.5991 8.3943
Mg 2.1222 2.0943 1.6198
Co 0.7074 7.8857 0.9683
O 0.7074 1.6836 3.2915
O 2.1222 8.2132 2.1613
O 0.7074 6.0303 1.7156
O 0.7074 3.5479 0.7062
Co 2.1222 5.1544 5.9754
O 2.1222 7.0098 6.7226
O 0.7074 1.0164 0.3857
Mg 2.1222 6.4410 3.3873
Co 0.7074 3.5390 4.0388
O 2.1222 2.6631 8.2986
Co 2.1222 0.4429 3.8307
O 2.1222 3.8665 2.8458
Co 0.7074 3.9038 8.8377
O 2.1222 5.1455 9.3079
Co 0.7074 8.2505 6.1835
Co 2.1222 0.8077 9.0458
Mg 0.7074 2.2524 6.6269
O 2.1222 3.3303 5.3928
O 2.1222 7.6770 9.6284
```

Results
Mass density (g/cm³): 5.56

Least stable: version a

Version a
## MgCo4O8 (GGA+U)

Data for an optimized crystal structure of MgCo4O8.

Geometry as extended XYZ:
```
13
Lattice="-0.2590 2.8532 0.7712 -5.2494 2.4991 -4.9059 -3.8876 -1.9135 6.7208" Properties=species:S:1:pos:R:3 pbc="T T T"
O -6.0676 -0.8454 4.6846
Mg -4.4619 2.8503 1.5573
O -6.5564 2.8058 1.3169
O -6.4130 3.4006 -1.0436
O -2.5121 -0.1607 1.7830
O -2.9200 -0.8513 4.0713
Co -2.9203 0.9139 3.2652
Co -6.3946 1.6469 -0.2667
O -7.5014 0.9735 3.3271
Co -6.4454 2.5280 3.4176
O -4.4547 1.7872 -0.1376
O -4.7650 0.9639 2.6384
Co -3.4274 2.3917 -1.5528
```

Results
Mass density (g/cm³): 3.83

Version b
## MgCo4O8 (GGA+U)

Data for an optimized crystal structure of MgCo4O8.

Geometry as extended XYZ:
```
13
Lattice="-1.4267 -2.0760 1.3362 4.7206 -2.5000 4.1963 -2.0114 3.2021 5.8685" Properties=species:S:1:pos:R:3 pbc="T T T"
O 1.8281 -1.9232 5.0846
O 0.3811 0.2935 3.9407
Co 1.7697 -0.9420 3.5044
O 2.6881 -3.0219 7.3356
Co 2.2812 -1.1713 6.7344
O -0.6647 0.6826 6.4701
Co -1.2469 0.0566 4.8764
O 0.6455 -1.4897 7.5357
Co -0.5757 -0.3009 8.0796
O -1.5476 1.7773 4.1859
O 0.7670 0.9768 8.4564
O 0.2604 -2.1885 2.9980
Mg -0.2970 -0.4449 2.0691
```

Results
Mass density (g/cm³): 5.01

Least stable: version a